Record 1
Density functional theory data (PBE) for a relaxed structure of Na2TeO4.

Cell: 5.2916 5.8419 12.3675 Å, 90.00 90.00 90.00°
Fractional positions:
O: 0.1123 0.2016 0.1739
O: 0.1123 0.2984 0.6739
O: 0.3877 0.7984 0.1739
O: 0.3877 0.7016 0.6739
O: 0.5709 0.1793 0.0502
O: 0.9291 0.6793 0.5502
O: 0.5709 0.3207 0.5502
O: 0.6123 0.2984 0.3261
O: 0.0709 0.1793 0.9498
O: 0.6123 0.2016 0.8261
O: 0.8877 0.7984 0.8261
O: 0.9291 0.8207 0.0502
O: 0.8877 0.7016 0.3261
O: 0.4291 0.8207 0.9498
O: 0.0709 0.3207 0.4498
O: 0.4291 0.6793 0.4498
Na: 0.2500 0.0000 0.3617
Na: 0.7500 0.0000 0.2259
Na: 0.2500 0.0000 0.7741
Na: 0.7500 0.0000 0.6383
Na: 0.7500 0.5000 0.1383
Na: 0.2500 0.5000 0.2741
Na: 0.7500 0.5000 0.7259
Na: 0.2500 0.5000 0.8617
Te: 0.2500 0.5000 0.5717
Te: 0.7500 0.5000 0.4283
Te: 0.2500 0.0000 0.0717
Te: 0.7500 0.0000 0.9283

**Energy of formation**: -1224 kJ/mol of formula units
**V**: 13.7 Å³/atom

***

Record 2
Density functional theory data (PBE) for a relaxed structure of Na2TeO5.

Cell: 5.8803 6.7071 7.6493 Å, 64.00 90.00 90.00°
Fractional positions:
O: 0.5576 0.0557 0.2816
O: 0.0576 0.9443 0.7184
O: 0.2500 0.8554 0.2891
O: 0.0576 0.3373 0.7184
O: 0.4424 0.3373 0.7184
O: 0.5576 0.6627 0.2816
O: 0.9424 0.6627 0.2816
O: 0.7500 0.1446 0.7109
O: 0.4424 0.9443 0.7184
O: 0.9424 0.0557 0.2816
Na: 0.2500 0.6714 0.6573
Na: 0.7500 0.3286 0.3427
Na: 0.5000 0.0000 0.0000
Na: 0.0000 0.0000 0.0000
Te: 0.2500 0.2102 0.5795
Te: 0.7500 0.7898 0.4205

**Energy of formation**: -772 kJ/mol of formula units
**Magnetic moment**: 0.00 μB/atom
**V**: 16.9 Å³/atom

***

Record 3
Density functional theory data (PBE) for a relaxed structure of Na2TeO4.

Cell: 5.2507 10.7948 14.0722 Å, 76.51 90.00 90.00°
Fractional positions:
O: 0.9055 0.1842 0.7130
O: 0.9523 0.6777 0.4516
O: 0.1370 0.2353 0.3091
O: 0.5836 0.2797 0.4531
O: 0.4525 0.6305 0.3780
O: 0.0836 0.7203 0.0469
O: 0.9161 0.5585 0.2962
O: 0.4164 0.7203 0.5469
O: 0.5475 0.3695 0.6220
O: 0.9164 0.2797 0.9531
O: 0.8630 0.7647 0.6909
O: 0.0839 0.4415 0.7038
O: 0.3510 0.9312 0.9420
O: 0.5967 0.8615 0.3561
O: 0.5945 0.1842 0.2130
O: 0.0967 0.1385 0.1439
O: 0.4523 0.3223 0.0484
O: 0.0945 0.8158 0.2870
O: 0.5477 0.6777 0.9516
O: 0.9525 0.3695 0.1220
O: 0.4161 0.4415 0.2038
O: 0.8510 0.0688 0.5580
O: 0.0477 0.3223 0.5484
O: 0.6490 0.0688 0.0580
O: 0.1490 0.9312 0.4420
O: 0.5839 0.5585 0.7962
O: 0.4033 0.1385 0.6439
O: 0.3630 0.2353 0.8091
O: 0.9033 0.8615 0.8561
O: 0.0475 0.6305 0.8780
O: 0.4055 0.8158 0.7870
O: 0.6370 0.7647 0.1909
Na: 0.8902 0.0440 0.3153
Na: 0.1098 0.9560 0.6847
Na: 0.7459 0.8705 0.0345
Na: 0.2459 0.1295 0.4655
Na: 0.2629 0.6440 0.1967
Na: 0.7519 0.5670 0.0993
Na: 0.7481 0.5670 0.5993
Na: 0.2541 0.1295 0.9655
Na: 0.3902 0.9560 0.1847
Na: 0.7371 0.3560 0.8033
Na: 0.2481 0.4330 0.9007
Na: 0.2519 0.4330 0.4007
Na: 0.6098 0.0440 0.8153
Na: 0.7629 0.3560 0.3033
Na: 0.7541 0.8705 0.5345
Na: 0.2371 0.6440 0.6967
Te: 0.7760 0.2228 0.0773
Te: 0.2240 0.7772 0.9227
Te: 0.2760 0.7772 0.4227
Te: 0.7758 0.7093 0.3168
Te: 0.7242 0.7093 0.8168
Te: 0.2242 0.2907 0.6832
Te: 0.7240 0.2228 0.5773
Te: 0.2758 0.2907 0.1832

**Energy of formation**: -1226 kJ/mol of formula units
**V**: 13.8 Å³/atom

***

Record 4
Density functional theory data (PBE) for a relaxed structure of NaTeO6.

Cell: 6.0819 6.0819 6.0819 Å, 60.00 60.00 60.00°
Fractional positions:
O: 0.2243 0.7757 0.2243
O: 0.2243 0.2243 0.7757
O: 0.7757 0.2243 0.2243
O: 0.2243 0.7757 0.7757
O: 0.7757 0.2243 0.7757
O: 0.7757 0.7757 0.2243
Te: 0.0000 0.0000 0.0000
Na: 0.5000 0.5000 0.5000

**Energy of formation**: -433 kJ/mol of formula units
**Magnetic moment**: 0.63 μB/atom
**V**: 19.9 Å³/atom